The following is a DFT calculation (r2SCAN) of Er2Zn17 after structural relaxation.

Results
Mass density, g/cm³: 8.3

```
Er2Zn17
1.0
4.4166 2.5499 4.3063
-4.4166 2.5499 4.3063
0.0000 -5.0999 4.3063
Er Zn
2 17
direct
0.1643 0.1643 0.1643
0.8357 0.8357 0.8357
0.0000 0.5000 0.5000
0.1488 0.1488 0.6617
0.1488 0.6617 0.1488
0.2027 0.5000 0.7973
0.2027 0.7973 0.5000
0.3383 0.8512 0.8512
0.4001 0.4001 0.4001
0.5000 0.0000 0.5000
0.5000 0.2027 0.7973
0.5000 0.5000 0.0000
0.5000 0.7973 0.2027
0.5999 0.5999 0.5999
0.6617 0.1488 0.1488
0.7973 0.2027 0.5000
0.7973 0.5000 0.2027
0.8512 0.3383 0.8512
0.8512 0.8512 0.3383
```

***

The following is a DFT calculation (r2SCAN) of SmZn2 after structural relaxation.

Results
Mass density, g/cm³: 7.6

```
SmZn2
1.0
-2.2629 3.6497 3.7310
2.2629 -3.6497 3.7310
2.2629 3.6497 -3.7310
Sm Zn
2 4
direct
0.2866 0.0366 0.2500
0.7134 0.9634 0.7500
0.1113 0.6651 0.4462
0.2811 0.3349 0.9462
0.7189 0.6651 0.0538
0.8887 0.3349 0.5538
```

***

The following is a DFT calculation (r2SCAN) of TmPd after structural relaxation.

Results
Mass density, g/cm³: 11.2

```
TmPd
1.0
3.4395 0.0000 0.0000
0.0000 3.4395 0.0000
0.0000 0.0000 3.4395
Tm Pd
1 1
direct
0.0000 0.0000 0.0000
0.5000 0.5000 0.5000
```

***

The following is a DFT calculation (r2SCAN) of Rb3BiO3 after structural relaxation.

Results
Mass density, g/cm³: 5.0

```
Rb3BiO3
1.0
8.7889 0.0000 0.0000
0.0000 8.7889 0.0000
0.0000 0.0000 8.7889
Rb Bi O
12 4 12
direct
0.0248 0.0248 0.0248
0.2086 0.2914 0.7086
0.2135 0.7135 0.7865
0.2865 0.2865 0.2865
0.2914 0.7086 0.2086
0.4752 0.9752 0.5248
0.5248 0.4752 0.9752
0.7086 0.2086 0.2914
0.7135 0.7865 0.2135
0.7865 0.2135 0.7135
0.7914 0.7914 0.7914
0.9752 0.5248 0.4752
0.0167 0.9833 0.4833
0.4833 0.0167 0.9833
0.5167 0.5167 0.5167
0.9833 0.4833 0.0167
0.0046 0.2150 0.4393
0.0607 0.9954 0.7150
0.2150 0.4393 0.0046
0.2850 0.5607 0.5046
0.4393 0.0046 0.2150
0.4954 0.7850 0.9393
0.5046 0.2850 0.5607
0.5607 0.5046 0.2850
0.7150 0.0607 0.9954
0.7850 0.9393 0.4954
0.9393 0.4954 0.7850
0.9954 0.7150 0.0607
```

***

The following formation energy values (in eV per atom) correspond, in order, to the records above: -0.259; -0.420; -0.983; -1.471.
The following magnetization values (in μB/cell) correspond, in order, to the records above: 0.00; 0.00; 0.00; 0.00.